No. 1
# CrC6O6

A relaxed CrC6O6 crystal (r²SCAN, the Materials Project database).

Calculated values
The total energy comes out at -9.225 eV/atom.

a = 11.506 Å, b = 10.864 Å, c = 6.204 Å
α = 90.00°, β = 90.00°, γ = 90.00°
Fractional positions:
Cr 0.128 0.250 0.061
Cr 0.372 0.750 0.561
Cr 0.628 0.250 0.439
Cr 0.872 0.750 0.939
C 0.030 0.127 0.177
C 0.030 0.373 0.177
C 0.039 0.250 0.804
C 0.218 0.250 0.316
C 0.224 0.126 0.943
C 0.224 0.374 0.943
C 0.276 0.626 0.443
C 0.276 0.874 0.443
C 0.282 0.750 0.816
C 0.461 0.750 0.304
C 0.470 0.627 0.677
C 0.470 0.873 0.677
C 0.530 0.127 0.323
C 0.530 0.373 0.323
C 0.539 0.250 0.696
C 0.718 0.250 0.184
C 0.724 0.126 0.557
C 0.724 0.374 0.557
C 0.776 0.626 0.057
C 0.776 0.874 0.057
C 0.782 0.750 0.684
C 0.961 0.750 0.196
C 0.970 0.627 0.823
C 0.970 0.873 0.823
O 0.014 0.750 0.353
O 0.031 0.553 0.754
O 0.031 0.947 0.754
O 0.219 0.549 0.370
O 0.219 0.951 0.370
O 0.227 0.750 0.971
O 0.273 0.250 0.471
O 0.281 0.049 0.870
O 0.281 0.451 0.870
O 0.469 0.053 0.254
O 0.469 0.447 0.254
O 0.486 0.250 0.853
O 0.514 0.750 0.147
O 0.531 0.553 0.746
O 0.531 0.947 0.746
O 0.719 0.549 0.130
O 0.719 0.951 0.130
O 0.727 0.750 0.529
O 0.773 0.250 0.029
O 0.781 0.049 0.630
O 0.781 0.451 0.630
O 0.969 0.053 0.246
O 0.969 0.447 0.246
O 0.986 0.250 0.647

=====

No. 2
# HoB2Os

A relaxed HoB2Os crystal (r²SCAN, the Materials Project database).

Calculated values
The total energy comes out at -25.810 eV/atom.

a = 5.861 Å, b = 5.289 Å, c = 6.346 Å
α = 90.00°, β = 90.00°, γ = 90.00°
Fractional positions:
Ho 0.010 0.250 0.165
Ho 0.490 0.750 0.665
Ho 0.510 0.250 0.335
Ho 0.990 0.750 0.835
B 0.138 0.582 0.461
B 0.138 0.918 0.461
B 0.362 0.082 0.961
B 0.362 0.418 0.961
B 0.638 0.582 0.039
B 0.638 0.918 0.039
B 0.862 0.082 0.539
B 0.862 0.418 0.539
Os 0.177 0.250 0.680
Os 0.323 0.750 0.180
Os 0.677 0.250 0.820
Os 0.823 0.750 0.320

=====

No. 3
# Na3CrP8O23

A relaxed Na3CrP8O23 crystal (r²SCAN, the Materials Project database).

Calculated values
The total energy comes out at -9.100 eV/atom.

a = 11.867 Å, b = 11.867 Å, c = 11.867 Å
α = 90.00°, β = 90.00°, γ = 90.00°
Fractional positions:
Na 0.043 0.293 0.125
Na 0.125 0.043 0.293
Na 0.207 0.875 0.543
Na 0.293 0.125 0.043
Na 0.375 0.957 0.793
Na 0.457 0.707 0.625
Na 0.543 0.207 0.875
Na 0.625 0.457 0.707
Na 0.707 0.625 0.457
Na 0.793 0.375 0.957
Na 0.875 0.543 0.207
Na 0.957 0.793 0.375
Cr 0.125 0.625 0.875
Cr 0.375 0.375 0.375
Cr 0.625 0.875 0.125
Cr 0.875 0.125 0.625
P 0.020 0.020 0.020
P 0.069 0.359 0.856
P 0.106 0.891 0.819
P 0.109 0.319 0.394
P 0.141 0.144 0.569
P 0.144 0.569 0.141
P 0.181 0.606 0.609
P 0.230 0.770 0.270
P 0.270 0.230 0.770
P 0.319 0.394 0.109
P 0.356 0.431 0.641
P 0.359 0.856 0.069
P 0.391 0.681 0.894
P 0.394 0.109 0.319
P 0.431 0.641 0.356
P 0.480 0.980 0.520
P 0.520 0.480 0.980
P 0.569 0.141 0.144
P 0.606 0.609 0.181
P 0.609 0.181 0.606
P 0.641 0.356 0.431
P 0.644 0.931 0.859
P 0.681 0.894 0.391
P 0.730 0.730 0.730
P 0.770 0.270 0.230
P 0.819 0.106 0.891
P 0.856 0.069 0.359
P 0.859 0.644 0.931
P 0.891 0.819 0.106
P 0.894 0.391 0.681
P 0.931 0.859 0.644
P 0.980 0.520 0.480
O 0.008 0.405 0.422
O 0.014 0.818 0.562
O 0.017 0.375 0.733
O 0.040 0.119 0.637
O 0.062 0.486 0.182
O 0.068 0.236 0.312
O 0.078 0.992 0.905
O 0.091 0.091 0.091
O 0.095 0.578 0.508
O 0.113 0.631 0.710
O 0.119 0.637 0.040
O 0.125 0.267 0.517
O 0.131 0.790 0.887
O 0.137 0.460 0.881
O 0.155 0.258 0.828
O 0.159 0.841 0.341
O 0.172 0.655 0.242
O 0.182 0.062 0.486
O 0.188 0.932 0.736
O 0.210 0.387 0.369
O 0.233 0.483 0.625
O 0.236 0.312 0.068
O 0.242 0.172 0.655
O 0.258 0.828 0.155
O 0.264 0.688 0.568
O 0.267 0.517 0.125
O 0.290 0.613 0.869
O 0.312 0.068 0.236
O 0.318 0.938 0.986
O 0.328 0.345 0.742
O 0.341 0.159 0.841
O 0.345 0.742 0.328
O 0.363 0.540 0.381
O 0.369 0.210 0.387
O 0.375 0.733 0.017
O 0.381 0.363 0.540
O 0.387 0.369 0.210
O 0.405 0.422 0.008
O 0.409 0.909 0.591
O 0.422 0.008 0.405
O 0.432 0.764 0.812
O 0.438 0.514 0.682
O 0.460 0.881 0.137
O 0.483 0.625 0.233
O 0.486 0.182 0.062
O 0.492 0.595 0.922
O 0.508 0.095 0.578
O 0.514 0.682 0.438
O 0.517 0.125 0.267
O 0.540 0.381 0.363
O 0.562 0.014 0.818
O 0.568 0.264 0.688
O 0.578 0.508 0.095
O 0.591 0.409 0.909
O 0.595 0.922 0.492
O 0.613 0.869 0.290
O 0.619 0.863 0.960
O 0.625 0.233 0.483
O 0.631 0.710 0.113
O 0.637 0.040 0.119
O 0.655 0.242 0.172
O 0.659 0.659 0.659
O 0.672 0.845 0.758
O 0.682 0.438 0.514
O 0.688 0.568 0.264
O 0.710 0.113 0.631
O 0.733 0.017 0.375
O 0.736 0.188 0.932
O 0.742 0.328 0.345
O 0.758 0.672 0.845
O 0.764 0.812 0.432
O 0.767 0.983 0.875
O 0.790 0.887 0.131
O 0.812 0.432 0.764
O 0.818 0.562 0.014
O 0.828 0.155 0.258
O 0.841 0.341 0.159
O 0.845 0.758 0.672
O 0.863 0.960 0.619
O 0.869 0.290 0.613
O 0.875 0.767 0.983
O 0.881 0.137 0.460
O 0.887 0.131 0.790
O 0.905 0.078 0.992
O 0.909 0.591 0.409
O 0.922 0.492 0.595
O 0.932 0.736 0.188
O 0.938 0.986 0.318
O 0.960 0.619 0.863
O 0.983 0.875 0.767
O 0.986 0.318 0.938
O 0.992 0.905 0.078

=====

No. 4
# GdHfF7

A relaxed GdHfF7 crystal (r²SCAN, the Materials Project database).

Calculated values
The total energy comes out at -16.492 eV/atom.

a = 6.074 Å, b = 5.726 Å, c = 8.241 Å
α = 90.00°, β = 102.26°, γ = 90.00°
Fractional positions:
Gd 0.158 0.000 0.188
Gd 0.842 0.500 0.812
Hf 0.311 0.991 0.725
Hf 0.689 0.491 0.275
F 0.049 0.203 0.712
F 0.050 0.313 0.026
F 0.119 0.705 0.715
F 0.258 0.999 0.479
F 0.364 0.990 0.972
F 0.435 0.271 0.272
F 0.462 0.747 0.261
F 0.538 0.247 0.739
F 0.565 0.771 0.728
F 0.636 0.490 0.028
F 0.742 0.499 0.521
F 0.881 0.205 0.285
F 0.950 0.813 0.974
F 0.951 0.703 0.288

=====

No. 5
# CaSbPt

A relaxed CaSbPt crystal (r²SCAN, the Materials Project database).

Calculated values
The total energy comes out at -29.165 eV/atom.

a = 7.390 Å, b = 4.587 Å, c = 7.922 Å
α = 90.00°, β = 90.00°, γ = 90.00°
Fractional positions:
Ca 0.008 0.250 0.197
Ca 0.492 0.750 0.697
Ca 0.508 0.250 0.303
Ca 0.992 0.750 0.803
Sb 0.186 0.250 0.591
Sb 0.314 0.750 0.091
Sb 0.686 0.250 0.909
Sb 0.814 0.750 0.409
Pt 0.196 0.750 0.414
Pt 0.304 0.250 0.914
Pt 0.696 0.750 0.086
Pt 0.804 0.250 0.586

=====

No. 6
# DySeO3

A relaxed DySeO3 crystal (r²SCAN, the Materials Project database).

Calculated values
The total energy comes out at -15.149 eV/atom.

a = 5.932 Å, b = 12.221 Å, c = 8.885 Å
α = 90.00°, β = 106.20°, γ = 90.00°
Fractional positions:
Dy 0.137 0.243 0.159
Dy 0.137 0.257 0.659
Dy 0.261 0.562 0.084
Dy 0.261 0.938 0.584
Dy 0.739 0.062 0.416
Dy 0.739 0.438 0.916
Dy 0.863 0.743 0.341
Dy 0.863 0.757 0.841
Se 0.131 0.515 0.679
Se 0.131 0.985 0.179
Se 0.456 0.658 0.482
Se 0.456 0.842 0.982
Se 0.544 0.158 0.018
Se 0.544 0.342 0.518
Se 0.869 0.015 0.821
Se 0.869 0.485 0.321
O 0.055 0.589 0.278
O 0.055 0.911 0.778
O 0.094 0.095 0.582
O 0.094 0.405 0.082
O 0.250 0.747 0.991
O 0.250 0.753 0.491
O 0.286 0.225 0.925
O 0.286 0.275 0.425
O 0.365 0.516 0.855
O 0.365 0.984 0.355
O 0.480 0.679 0.297
O 0.480 0.821 0.797
O 0.520 0.179 0.203
O 0.520 0.321 0.703
O 0.635 0.016 0.645
O 0.635 0.484 0.145
O 0.714 0.725 0.575
O 0.714 0.775 0.075
O 0.750 0.247 0.509
O 0.750 0.253 0.009
O 0.906 0.595 0.918
O 0.906 0.905 0.418
O 0.945 0.089 0.222
O 0.945 0.411 0.722

=====

No. 7
# HoRh3C

A relaxed HoRh3C crystal (r²SCAN, the Materials Project database).

Calculated values
The total energy comes out at -23.633 eV/atom.

a = 4.142 Å, b = 4.142 Å, c = 4.142 Å
α = 90.00°, β = 90.00°, γ = 90.00°
Fractional positions:
Ho 0.000 0.000 0.000
Rh 0.000 0.500 0.500
Rh 0.500 0.000 0.500
Rh 0.500 0.500 0.000
C 0.500 0.500 0.500

=====

No. 8
# CoP2

A relaxed CoP2 crystal (r²SCAN, the Materials Project database).

Calculated values
The total energy comes out at -10.919 eV/atom.

a = 5.514 Å, b = 5.520 Å, c = 5.583 Å
α = 90.00°, β = 114.33°, γ = 90.00°
Fractional positions:
Co 0.228 0.002 0.212
Co 0.228 0.498 0.712
Co 0.772 0.502 0.288
Co 0.772 0.998 0.788
P 0.161 0.127 0.818
P 0.161 0.373 0.318
P 0.342 0.626 0.132
P 0.342 0.874 0.632
P 0.658 0.126 0.368
P 0.658 0.374 0.868
P 0.839 0.627 0.682
P 0.839 0.873 0.182

=====

No. 9
# YPS

A relaxed YPS crystal (r²SCAN, the Materials Project database).

Calculated values
The total energy comes out at -14.236 eV/atom.

a = 5.375 Å, b = 5.333 Å, c = 16.746 Å
α = 90.00°, β = 90.00°, γ = 90.00°
Fractional positions:
Y 0.014 0.250 0.147
Y 0.016 0.750 0.362
Y 0.484 0.250 0.862
Y 0.486 0.750 0.647
Y 0.514 0.250 0.353
Y 0.516 0.750 0.138
Y 0.984 0.250 0.638
Y 0.986 0.750 0.853
P 0.204 0.539 0.997
P 0.204 0.961 0.997
P 0.296 0.039 0.497
P 0.296 0.461 0.497
P 0.704 0.539 0.503
P 0.704 0.961 0.503
P 0.796 0.039 0.003
P 0.796 0.461 0.003
S 0.011 0.250 0.316
S 0.015 0.750 0.189
S 0.485 0.250 0.689
S 0.489 0.750 0.816
S 0.511 0.250 0.184
S 0.515 0.750 0.311
S 0.985 0.250 0.811
S 0.989 0.750 0.684

=====

No. 10
# EuGaSi

A relaxed EuGaSi crystal (r²SCAN, the Materials Project database).

Calculated values
The total energy comes out at -20.216 eV/atom.

a = 4.147 Å, b = 4.147 Å, c = 4.486 Å
α = 90.00°, β = 90.00°, γ = 120.00°
Fractional positions:
Eu 0.000 0.000 0.000
Ga 0.333 0.667 0.500
Si 0.667 0.333 0.500

=====

No. 11
# BaEr2Si3O10

A relaxed BaEr2Si3O10 crystal (r²SCAN, the Materials Project database).

Calculated values
The total energy comes out at -14.747 eV/atom.

a = 5.379 Å, b = 12.156 Å, c = 6.822 Å
α = 90.00°, β = 106.66°, γ = 90.00°
Fractional positions:
Ba 0.241 0.250 0.479
Ba 0.759 0.750 0.521
Er 0.155 0.600 0.182
Er 0.155 0.900 0.182
Er 0.845 0.100 0.818
Er 0.845 0.400 0.818
Si 0.305 0.560 0.713
Si 0.305 0.940 0.713
Si 0.419 0.250 0.011
Si 0.581 0.750 0.989
Si 0.695 0.060 0.287
Si 0.695 0.440 0.287
O 0.102 0.549 0.852
O 0.102 0.951 0.852
O 0.123 0.250 0.864
O 0.163 0.621 0.500
O 0.163 0.879 0.500
O 0.366 0.750 0.112
O 0.438 0.056 0.693
O 0.438 0.444 0.693
O 0.452 0.143 0.162
O 0.452 0.357 0.162
O 0.548 0.643 0.838
O 0.548 0.857 0.838
O 0.562 0.556 0.307
O 0.562 0.944 0.307
O 0.634 0.250 0.888
O 0.837 0.121 0.500
O 0.837 0.379 0.500
O 0.877 0.750 0.136
O 0.898 0.049 0.148
O 0.898 0.451 0.148

=====

Number 1: formation enthalpy at 0 K -0.718 eV/atom. Number 2: formation enthalpy at 0 K -0.670 eV/atom. Number 3: formation enthalpy at 0 K -2.381 eV/atom. Number 4: formation enthalpy at 0 K -4.222 eV/atom. Number 5: formation enthalpy at 0 K -1.088 eV/atom. Number 6: formation enthalpy at 0 K -2.307 eV/atom. Number 7: formation enthalpy at 0 K -0.586 eV/atom. Number 8: formation enthalpy at 0 K -0.506 eV/atom. Number 9: formation enthalpy at 0 K -1.786 eV/atom. Number 10: formation enthalpy at 0 K -0.637 eV/atom. Number 11: formation enthalpy at 0 K -3.472 eV/atom.